[1]
# PBE-GGA NaTi8O16, optimized geometry
data_NaTi8O16
_cell_length_a 10.505
_cell_length_b 5.979
_cell_length_c 10.781
_cell_angle_alpha 90.00
_cell_angle_beta 118.03
_cell_angle_gamma 90.00
_symmetry_space_group_name_H-M 'C 1 m 1'
_symmetry_Int_Tables_number 8
_symmetry_space_group_name_Hall 'C -2y'
loop_
_atom_site_label
_atom_site_type_symbol
_atom_site_fract_x
_atom_site_fract_y
_atom_site_fract_z
Na1 Na 0.000 0.000 0.000
Ti1 Ti 0.154 0.245 0.398
Ti2 Ti 0.192 0.249 0.893
Ti3 Ti 0.287 0.500 0.180
Ti4 Ti 0.315 0.000 0.186
Ti5 Ti 0.329 0.500 0.667
Ti6 Ti 0.342 0.000 0.682
O1 O 0.044 0.500 0.807
O2 O 0.045 0.000 0.812
O3 O 0.135 0.500 0.504
O4 O 0.136 0.000 0.503
O5 O 0.174 0.249 0.080
O6 O 0.214 0.500 0.311
O7 O 0.216 0.000 0.309
O8 O 0.280 0.256 0.771
O9 O 0.306 0.500 0.000
O10 O 0.320 0.000 0.002
O11 O 0.357 0.246 0.574
O12 O 0.447 0.250 0.267
# - uncorrected energy (eV/atom) = -8.65

=====

[2]
# PBE-GGA Na5Ti3O8, optimized geometry
data_Na5Ti3O8
_cell_length_a 6.1684
_cell_length_b 6.1684
_cell_length_c 16.2305
_cell_angle_alpha 90.00
_cell_angle_beta 90.00
_cell_angle_gamma 120.00
_symmetry_space_group_name_H-M 'R -3 m'
_symmetry_Int_Tables_number 166
_symmetry_space_group_name_Hall '-R 3 2"'
loop_
_atom_site_label
_atom_site_type_symbol
_atom_site_fract_x
_atom_site_fract_y
_atom_site_fract_z
Na1 Na 0.0000 0.0000 0.0000
Na2 Na 0.0000 0.0000 0.5000
Na3 Na 0.0000 0.5000 0.0000
Ti1 Ti 0.0000 0.5000 0.5000
O1 O 0.0000 0.0000 0.2357
O2 O 0.0314 0.5157 0.7667
# - uncorrected energy (eV/atom) = -6.75

=====

[3]
# PBE-GGA Na2Ti12O25, optimized geometry
data_Na2Ti12O25
_cell_length_a 7.522
_cell_length_b 10.105
_cell_length_c 14.657
_cell_angle_alpha 104.69
_cell_angle_beta 90.00
_cell_angle_gamma 111.85
_symmetry_space_group_name_H-M 'P 1'
_symmetry_Int_Tables_number 1
_symmetry_space_group_name_Hall 'P 1'
loop_
_atom_site_label
_atom_site_type_symbol
_atom_site_fract_x
_atom_site_fract_y
_atom_site_fract_z
Na1 Na 0.000 0.000 0.000
Na2 Na 0.091 0.683 0.466
Na3 Na 0.387 0.274 0.548
Na4 Na 0.593 0.685 0.465
Ti1 Ti 0.058 0.617 0.100
Ti2 Ti 0.080 0.659 0.860
Ti3 Ti 0.147 0.295 0.331
Ti4 Ti 0.185 0.373 0.746
Ti5 Ti 0.225 0.947 0.800
Ti6 Ti 0.256 0.011 0.213
Ti7 Ti 0.293 0.586 0.266
Ti8 Ti 0.332 0.664 0.682
Ti9 Ti 0.400 0.300 0.154
Ti10 Ti 0.421 0.343 0.912
Ti11 Ti 0.486 0.971 0.630
Ti12 Ti 0.498 0.995 0.385
Ti13 Ti 0.558 0.616 0.100
Ti14 Ti 0.579 0.658 0.859
Ti15 Ti 0.648 0.295 0.331
Ti16 Ti 0.688 0.374 0.746
Ti17 Ti 0.722 0.947 0.800
Ti18 Ti 0.755 0.011 0.212
Ti19 Ti 0.793 0.586 0.266
Ti20 Ti 0.832 0.665 0.683
Ti21 Ti 0.900 0.301 0.154
Ti22 Ti 0.921 0.343 0.913
Ti23 Ti 0.985 0.971 0.630
Ti24 Ti 0.997 0.995 0.385
O1 O 0.023 0.547 0.228
O2 O 0.026 0.052 0.248
O3 O 0.042 0.586 0.968
O4 O 0.097 0.183 0.682
O5 O 0.099 0.697 0.724
O6 O 0.119 0.215 0.429
O7 O 0.158 0.822 0.142
O8 O 0.168 0.337 0.190
O9 O 0.168 0.859 0.904
O10 O 0.176 0.354 0.885
O11 O 0.233 0.965 0.664
O12 O 0.242 0.461 0.643
O13 O 0.244 0.989 0.348
O14 O 0.251 0.500 0.372
O15 O 0.289 0.101 0.109
O16 O 0.303 0.606 0.129
O17 O 0.312 0.624 0.824
O18 O 0.313 0.136 0.872
O19 O 0.371 0.740 0.581
O20 O 0.381 0.262 0.289
O21 O 0.387 0.774 0.333
O22 O 0.435 0.372 0.045
O23 O 0.453 0.906 0.765
O24 O 0.456 0.412 0.786
O25 O 0.484 0.977 0.506
O26 O 0.523 0.547 0.228
O27 O 0.527 0.053 0.247
O28 O 0.544 0.586 0.968
O29 O 0.585 0.183 0.682
O30 O 0.595 0.215 0.429
O31 O 0.599 0.699 0.725
O32 O 0.663 0.822 0.142
O33 O 0.668 0.335 0.190
O34 O 0.676 0.352 0.884
O35 O 0.690 0.858 0.904
O36 O 0.719 0.461 0.643
O37 O 0.733 0.967 0.664
O38 O 0.745 0.990 0.349
O39 O 0.749 0.501 0.372
O40 O 0.802 0.605 0.128
O41 O 0.811 0.622 0.824
O42 O 0.812 0.101 0.109
O43 O 0.823 0.136 0.872
O44 O 0.869 0.740 0.582
O45 O 0.880 0.262 0.290
O46 O 0.887 0.774 0.333
O47 O 0.937 0.372 0.045
O48 O 0.954 0.907 0.765
O49 O 0.956 0.413 0.786
O50 O 0.992 0.977 0.506
# - energy above the lowest structure with this stoichiometry (meV/atom) = 0